1.
Crystalline PrBr3O6 at its relaxed geometry. Source: Materials Project, functional PBE.

Calculated values
Space-group type   P2/c (13)
Formation energy   -688 kJ/mol of formula units

a b c (Å): 6.451 7.537 10.526
angles (deg): 90.00 106.69 90.00
Element x y z (fractional)
Pr  0.000  0.136  0.250
Pr  0.000  0.864  0.750
Br  0.151  0.218  0.969
Br  0.151  0.782  0.469
Br  0.500  0.151  0.750
Br  0.500  0.849  0.250
Br  0.849  0.218  0.531
Br  0.849  0.782  0.031
O  0.005  0.311  0.079
O  0.005  0.689  0.579
O  0.337  0.016  0.817
O  0.337  0.984  0.317
O  0.444  0.406  0.289
O  0.444  0.594  0.789
O  0.556  0.406  0.211
O  0.556  0.594  0.711
O  0.663  0.016  0.683
O  0.663  0.984  0.183
O  0.995  0.311  0.421
O  0.995  0.689  0.921



2.
Crystalline Rb2PtBr4O at its relaxed geometry. Source: Materials Project, functional PBE.

Calculated values
Space-group type   Pnma (62)
Formation energy   -558 kJ/mol of formula units

a b c (Å): 14.310 10.833 7.160
angles (deg): 90.00 90.00 90.00
Element x y z (fractional)
Rb  0.128  0.028  0.220
Rb  0.128  0.472  0.220
Rb  0.372  0.528  0.720
Rb  0.372  0.972  0.720
Rb  0.628  0.028  0.280
Rb  0.628  0.472  0.280
Rb  0.872  0.528  0.780
Rb  0.872  0.972  0.780
Pt  0.123  0.750  0.718
Pt  0.377  0.250  0.218
Pt  0.623  0.750  0.782
Pt  0.877  0.250  0.282
Br  0.025  0.750  0.999
Br  0.123  0.523  0.719
Br  0.123  0.977  0.719
Br  0.226  0.750  0.445
Br  0.274  0.250  0.945
Br  0.377  0.023  0.219
Br  0.377  0.477  0.219
Br  0.475  0.250  0.499
Br  0.525  0.750  0.501
Br  0.623  0.523  0.781
Br  0.623  0.977  0.781
Br  0.726  0.750  0.055
Br  0.774  0.250  0.555
Br  0.877  0.023  0.281
Br  0.877  0.477  0.281
Br  0.975  0.250  0.001
O  0.140  0.250  0.458
O  0.360  0.750  0.958
O  0.640  0.250  0.042
O  0.860  0.750  0.542



3.
Crystalline PuBrO at its relaxed geometry. Source: Materials Project, functional PBE.

Calculated values
Space-group type   P4/nmm (129)
Formation energy   -792 kJ/mol of formula units

a b c (Å): 3.943 3.943 8.559
angles (deg): 90.00 90.00 90.00
Element x y z (fractional)
Pu  0.250  0.250  0.140
Pu  0.750  0.750  0.860
Br  0.250  0.250  0.670
Br  0.750  0.750  0.330
O  0.250  0.750  0.000
O  0.750  0.250  0.000



4.
Crystalline Rb21Tl7Br42O8 at its relaxed geometry. Source: Materials Project, functional PBE.

Calculated values
Space-group type   I4/mmm (139)
Formation energy   -7201 kJ/mol of formula units

a b c (Å): 15.895 15.895 15.895
angles (deg): 114.78 114.78 99.30
Element x y z (fractional)
Rb  0.000  0.000  0.000
Rb  0.078  0.367  0.712
Rb  0.132  0.423  0.291
Rb  0.132  0.841  0.709
Rb  0.159  0.868  0.291
Rb  0.294  0.294  0.588
Rb  0.294  0.706  0.000
Rb  0.345  0.633  0.712
Rb  0.367  0.078  0.712
Rb  0.367  0.655  0.288
Rb  0.423  0.132  0.291
Rb  0.577  0.868  0.709
Rb  0.633  0.345  0.712
Rb  0.633  0.922  0.288
Rb  0.655  0.367  0.288
Rb  0.706  0.294  0.000
Rb  0.706  0.706  0.412
Rb  0.841  0.132  0.709
Rb  0.868  0.159  0.291
Rb  0.868  0.577  0.709
Rb  0.922  0.633  0.288
Tl  0.000  0.000  0.500
Tl  0.000  0.500  0.000
Tl  0.000  0.500  0.500
Tl  0.500  0.000  0.000
Tl  0.500  0.000  0.500
Tl  0.500  0.500  0.000
Tl  0.500  0.500  0.500
Br  0.030  0.030  0.335
Br  0.030  0.696  0.000
Br  0.114  0.379  0.493
Br  0.114  0.621  0.735
Br  0.116  0.616  0.232
Br  0.116  0.884  0.500
Br  0.132  0.632  0.500
Br  0.170  0.170  0.672
Br  0.170  0.498  0.000
Br  0.304  0.304  0.335
Br  0.304  0.970  0.000
Br  0.327  0.500  0.827
Br  0.368  0.868  0.500
Br  0.374  0.374  0.000
Br  0.379  0.114  0.493
Br  0.379  0.886  0.265
Br  0.384  0.616  0.500
Br  0.384  0.884  0.768
Br  0.498  0.170  0.000
Br  0.498  0.498  0.328
Br  0.500  0.327  0.827
Br  0.500  0.673  0.173
Br  0.502  0.502  0.672
Br  0.502  0.830  0.000
Br  0.616  0.116  0.232
Br  0.616  0.384  0.500
Br  0.621  0.114  0.735
Br  0.621  0.886  0.507
Br  0.626  0.626  0.000
Br  0.632  0.132  0.500
Br  0.673  0.500  0.173
Br  0.696  0.030  0.000
Br  0.696  0.696  0.665
Br  0.830  0.502  0.000
Br  0.830  0.830  0.328
Br  0.868  0.368  0.500
Br  0.884  0.116  0.500
Br  0.884  0.384  0.768
Br  0.886  0.379  0.265
Br  0.886  0.621  0.507
Br  0.970  0.304  0.000
Br  0.970  0.970  0.665
O  0.025  0.896  0.128
O  0.104  0.232  0.128
O  0.104  0.975  0.872
O  0.232  0.104  0.128
O  0.768  0.896  0.872
O  0.896  0.025  0.128
O  0.896  0.768  0.872
O  0.975  0.104  0.872



5.
Crystalline Rb2UBr4O4 at its relaxed geometry. Source: Materials Project, functional PBE.

Calculated values
Space-group type   P-1 (2)
Formation energy   -1612 kJ/mol of formula units

a b c (Å): 6.915 6.935 7.941
angles (deg): 91.72 102.05 115.96
Element x y z (fractional)
Rb  0.171  0.419  0.260
Rb  0.829  0.581  0.740
U  0.500  0.000  0.000
Br  0.222  0.182  0.844
Br  0.406  0.768  0.665
Br  0.594  0.232  0.335
Br  0.778  0.818  0.156
O  0.093  0.376  0.617
O  0.258  0.777  0.039
O  0.742  0.223  0.961
O  0.907  0.624  0.383



6.
Crystalline Rb2UBr4O4 at its relaxed geometry. Source: Materials Project, functional PBE.

Calculated values
Space-group type   P-1 (2)
Formation energy   -1597 kJ/mol of formula units

a b c (Å): 7.038 7.059 8.159
angles (deg): 73.37 81.39 63.21
Element x y z (fractional)
Rb  0.248  0.053  0.242
Rb  0.752  0.947  0.758
U  0.500  0.500  0.000
Br  0.091  0.656  0.150
Br  0.350  0.766  0.664
Br  0.650  0.234  0.336
Br  0.909  0.344  0.850
O  0.330  0.148  0.569
O  0.468  0.272  0.967
O  0.532  0.728  0.033
O  0.670  0.852  0.431



7.
Crystalline Sb4Br2O5 at its relaxed geometry. Source: Materials Project, functional PBE.

Calculated values
Space-group type   P2_1/c (14)
Formation energy   -1614 kJ/mol of formula units

a b c (Å): 6.735 5.247 13.816
angles (deg): 90.00 96.09 90.00
Element x y z (fractional)
Sb  0.173  0.222  0.049
Sb  0.173  0.278  0.549
Sb  0.192  0.607  0.296
Sb  0.192  0.893  0.796
Sb  0.808  0.107  0.204
Sb  0.808  0.393  0.704
Sb  0.827  0.722  0.451
Sb  0.827  0.778  0.951
Br  0.491  0.213  0.382
Br  0.491  0.287  0.882
Br  0.509  0.713  0.118
Br  0.509  0.787  0.618
O  0.000  0.000  0.500
O  0.000  0.500  0.000
O  0.068  0.007  0.918
O  0.068  0.493  0.418
O  0.070  0.171  0.709
O  0.070  0.329  0.209
O  0.930  0.671  0.791
O  0.930  0.829  0.291
O  0.932  0.507  0.582
O  0.932  0.993  0.082



8.
Crystalline Sb4BrO6 at its relaxed geometry. Source: Materials Project, functional PBE.

Calculated values
Space-group type   C2/m (12)
Formation energy   -1655 kJ/mol of formula units

a b c (Å): 9.804 9.804 10.865
angles (deg): 108.87 108.87 24.37
Element x y z (fractional)
Sb  0.003  0.003  0.217
Sb  0.190  0.190  0.846
Sb  0.233  0.233  0.324
Sb  0.421  0.421  0.524
Sb  0.579  0.579  0.476
Sb  0.767  0.767  0.676
Sb  0.810  0.810  0.154
Sb  0.997  0.997  0.783
Br  0.391  0.391  0.984
Br  0.609  0.609  0.016
O  0.070  0.070  0.415
O  0.085  0.085  0.723
O  0.234  0.234  0.699
O  0.297  0.297  0.203
O  0.314  0.314  0.500
O  0.468  0.468  0.720
O  0.532  0.532  0.280
O  0.686  0.686  0.500
O  0.703  0.703  0.797
O  0.766  0.766  0.301
O  0.915  0.915  0.277
O  0.930  0.930  0.585



no.,final energy (eV per cell)
1,-91.1
2,-98.5
3,-56.8
4,-214.6
5,-53.5
6,-53.4
7,-115.6
8,-121.7